Run one
This record from the Materials Project database describes crystalline Ca2SiO5 at its relaxed geometry. The functional is PBE.

abc: 9.598 9.679 10.378
angles: 90.00 90.00 90.00
Element x y z (fractional)
Ca: 0.304 0.470 0.922
Ca: 0.696 0.030 0.422
Ca: 0.196 0.970 0.078
Ca: 0.804 0.530 0.578
Ca: 0.696 0.530 0.078
Ca: 0.304 0.970 0.578
Ca: 0.804 0.030 0.922
Ca: 0.196 0.470 0.422
Ca: 0.488 0.339 0.602
Ca: 0.512 0.161 0.102
Ca: 0.012 0.839 0.398
Ca: 0.988 0.661 0.898
Ca: 0.512 0.661 0.398
Ca: 0.488 0.839 0.898
Ca: 0.988 0.161 0.602
Ca: 0.012 0.339 0.102
Si: 0.272 0.165 0.848
Si: 0.728 0.335 0.348
Si: 0.228 0.665 0.152
Si: 0.772 0.835 0.652
Si: 0.728 0.835 0.152
Si: 0.272 0.665 0.652
Si: 0.772 0.335 0.848
Si: 0.228 0.165 0.348
O: 0.364 0.048 0.928
O: 0.636 0.452 0.428
O: 0.136 0.548 0.072
O: 0.864 0.952 0.572
O: 0.636 0.952 0.072
O: 0.364 0.548 0.572
O: 0.864 0.452 0.928
O: 0.136 0.048 0.428
O: 0.174 0.245 0.957
O: 0.826 0.255 0.457
O: 0.326 0.745 0.043
O: 0.674 0.755 0.543
O: 0.826 0.755 0.043
O: 0.174 0.745 0.543
O: 0.674 0.255 0.957
O: 0.326 0.245 0.457
O: 0.370 0.289 0.791
O: 0.630 0.211 0.291
O: 0.130 0.789 0.209
O: 0.870 0.711 0.709
O: 0.630 0.711 0.209
O: 0.370 0.789 0.709
O: 0.870 0.211 0.791
O: 0.130 0.289 0.291
O: 0.185 0.099 0.727
O: 0.815 0.401 0.227
O: 0.315 0.599 0.273
O: 0.685 0.901 0.773
O: 0.815 0.901 0.273
O: 0.185 0.599 0.773
O: 0.685 0.401 0.727
O: 0.315 0.099 0.227
O: 0.011 0.408 0.565
O: 0.989 0.092 0.065
O: 0.489 0.908 0.435
O: 0.511 0.592 0.935
O: 0.989 0.592 0.435
O: 0.011 0.908 0.935
O: 0.511 0.092 0.565
O: 0.489 0.408 0.065

=====

Run two
This record from the Materials Project database describes crystalline Ca2SiO5 at its relaxed geometry. The functional is PBE.

abc: 3.503 8.703 11.345
angles: 87.05 90.08 78.52
Element x y z (fractional)
Ca: 0.897 0.186 0.443
Ca: 0.079 0.812 0.956
Ca: 0.208 0.569 0.596
Ca: 0.767 0.441 0.077
Ca: 0.544 0.901 0.699
Ca: 0.444 0.098 0.186
Si: 0.115 0.750 0.220
Si: 0.582 0.818 0.403
Si: 0.343 0.182 0.892
O: 0.623 0.738 0.539
O: 0.351 0.274 0.012
O: 0.128 0.725 0.764
O: 0.866 0.254 0.235
O: 0.486 0.010 0.391
O: 0.491 0.994 0.895
O: 0.301 0.378 0.455
O: 0.663 0.644 0.899
O: 0.800 0.384 0.583
O: 0.183 0.610 0.126
O: 0.971 0.049 0.626
O: 0.031 0.920 0.144
O: 0.102 0.777 0.375
O: 0.889 0.228 0.835
O: 0.621 0.738 0.261

=====

Run three
This record from the Materials Project database describes crystalline Ca2SiO5 at its relaxed geometry. The functional is PBE.

abc: 7.326 10.660 10.934
angles: 90.00 90.00 90.00
Element x y z (fractional)
Ca: 0.999 0.696 0.761
Ca: 0.499 0.804 0.239
Ca: 0.001 0.196 0.739
Ca: 0.501 0.304 0.261
Ca: 0.001 0.304 0.239
Ca: 0.501 0.196 0.761
Ca: 0.999 0.804 0.261
Ca: 0.499 0.696 0.739
Ca: 0.755 0.066 0.078
Ca: 0.255 0.434 0.922
Ca: 0.245 0.566 0.422
Ca: 0.745 0.934 0.578
Ca: 0.245 0.934 0.922
Ca: 0.745 0.566 0.078
Ca: 0.755 0.434 0.578
Ca: 0.255 0.066 0.422
Si: 0.232 0.317 0.541
Si: 0.732 0.183 0.459
Si: 0.768 0.817 0.959
Si: 0.268 0.683 0.041
Si: 0.768 0.683 0.459
Si: 0.268 0.817 0.541
Si: 0.232 0.183 0.041
Si: 0.732 0.317 0.959
O: 0.973 0.425 0.808
O: 0.473 0.075 0.192
O: 0.027 0.925 0.692
O: 0.527 0.575 0.308
O: 0.027 0.575 0.192
O: 0.527 0.925 0.808
O: 0.973 0.075 0.308
O: 0.473 0.425 0.692
O: 0.051 0.383 0.592
O: 0.551 0.117 0.408
O: 0.949 0.883 0.908
O: 0.449 0.617 0.092
O: 0.949 0.617 0.408
O: 0.449 0.883 0.592
O: 0.051 0.117 0.092
O: 0.551 0.383 0.908
O: 0.264 0.182 0.609
O: 0.764 0.318 0.391
O: 0.736 0.682 0.891
O: 0.236 0.818 0.109
O: 0.736 0.818 0.391
O: 0.236 0.682 0.609
O: 0.264 0.318 0.109
O: 0.764 0.182 0.891
O: 0.416 0.411 0.559
O: 0.916 0.089 0.441
O: 0.584 0.911 0.941
O: 0.084 0.589 0.059
O: 0.584 0.589 0.441
O: 0.084 0.911 0.559
O: 0.416 0.089 0.059
O: 0.916 0.411 0.941
O: 0.236 0.311 0.390
O: 0.736 0.189 0.610
O: 0.764 0.811 0.110
O: 0.264 0.689 0.890
O: 0.764 0.689 0.610
O: 0.264 0.811 0.390
O: 0.236 0.189 0.890
O: 0.736 0.311 0.110

=====

Calculated relative energies: run one 0; run two 143; run three 33, given in meV/atom

=====

Run one
This record from the Materials Project database describes crystalline Ca5Si6O22 at its relaxed geometry. The functional is PBE.

abc: 6.743 6.743 23.136
angles: 83.78 83.78 66.78
Element x y z (fractional)
Ca: 0.520 0.755 0.962
Ca: 0.755 0.520 0.462
Ca: 0.229 0.488 0.536
Ca: 0.488 0.229 0.036
Ca: 0.024 0.257 0.946
Ca: 0.257 0.024 0.446
Ca: 0.737 0.999 0.547
Ca: 0.999 0.737 0.047
Ca: 0.491 0.895 0.706
Ca: 0.895 0.491 0.206
Si: 0.945 0.261 0.091
Si: 0.261 0.945 0.591
Si: 0.730 0.065 0.411
Si: 0.065 0.730 0.911
Si: 0.132 0.875 0.179
Si: 0.875 0.132 0.679
Si: 0.109 0.879 0.320
Si: 0.879 0.109 0.820
Si: 0.521 0.684 0.095
Si: 0.684 0.521 0.595
Si: 0.308 0.493 0.405
Si: 0.493 0.308 0.905
O: 0.045 0.137 0.154
O: 0.137 0.045 0.654
O: 0.864 0.968 0.349
O: 0.968 0.864 0.849
O: 0.393 0.775 0.158
O: 0.775 0.393 0.658
O: 0.228 0.625 0.342
O: 0.625 0.228 0.842
O: 0.606 0.851 0.054
O: 0.851 0.606 0.554
O: 0.131 0.413 0.443
O: 0.413 0.131 0.943
O: 0.110 0.343 0.050
O: 0.343 0.110 0.550
O: 0.642 0.896 0.449
O: 0.896 0.642 0.949
O: 0.389 0.602 0.055
O: 0.602 0.389 0.555
O: 0.374 0.637 0.446
O: 0.637 0.374 0.946
O: 0.860 0.121 0.055
O: 0.121 0.860 0.555
O: 0.869 0.137 0.452
O: 0.137 0.869 0.952
O: 0.746 0.480 0.118
O: 0.480 0.746 0.618
O: 0.522 0.278 0.388
O: 0.278 0.522 0.888
O: 0.106 0.882 0.250
O: 0.882 0.106 0.750
O: 0.332 0.651 0.750
O: 0.651 0.332 0.250
O: 0.010 0.739 0.156
O: 0.739 0.010 0.656
O: 0.247 0.011 0.341
O: 0.011 0.247 0.841
O: 0.605 0.153 0.135
O: 0.153 0.605 0.635
O: 0.714 0.621 0.336
O: 0.621 0.714 0.836
O: 0.269 0.094 0.783
O: 0.094 0.269 0.283
O: 0.733 0.661 0.790
O: 0.661 0.733 0.290

=====

Run two
This record from the Materials Project database describes crystalline Ca5Si6O22 at its relaxed geometry. The functional is PBE.

abc: 6.718 6.772 11.688
angles: 89.28 100.77 113.36
Element x y z (fractional)
Ca: 0.462 0.742 0.916
Ca: 0.532 0.254 0.070
Ca: 0.952 0.237 0.895
Ca: 0.027 0.766 0.093
Ca: 0.349 0.752 0.410
Si: 0.101 0.313 0.188
Si: 0.897 0.693 0.821
Si: 0.952 0.966 0.357
Si: 0.032 0.022 0.639
Si: 0.525 0.732 0.183
Si: 0.460 0.272 0.808
O: 0.029 0.214 0.311
O: 0.977 0.794 0.700
O: 0.677 0.856 0.311
O: 0.296 0.172 0.679
O: 0.423 0.882 0.105
O: 0.554 0.108 0.880
O: 0.916 0.369 0.100
O: 0.081 0.621 0.900
O: 0.642 0.635 0.105
O: 0.337 0.357 0.892
O: 0.175 0.157 0.115
O: 0.846 0.856 0.902
O: 0.316 0.548 0.236
O: 0.671 0.476 0.775
O: 0.983 0.980 0.498
O: 0.538 0.523 0.504
O: 0.070 0.828 0.309
O: 0.897 0.153 0.685
O: 0.473 0.202 0.267
O: 0.390 0.711 0.663
O: 0.213 0.592 0.583
O: 0.546 0.869 0.609

=====

Calculated relative energies: run one 0; run two 67, given in meV/atom

=====

Run one
This record from the Materials Project database describes crystalline Ca3Si2O7 at its relaxed geometry. The functional is PBE.

abc: 12.789 12.789 12.789
angles: 156.82 126.29 59.26
Element x y z (fractional)
Ca: 0.322 0.609 0.722
Ca: 0.113 0.391 0.712
Ca: 0.990 0.000 0.990
Ca: 0.342 0.327 0.005
Ca: 0.179 0.164 0.005
Ca: 0.842 0.836 0.015
Ca: 0.490 0.500 0.990
Ca: 0.679 0.673 0.015
Ca: 0.036 0.749 0.285
Ca: 0.536 0.251 0.287
Ca: 0.613 0.901 0.722
Ca: 0.822 0.099 0.712
Si: 0.847 0.179 0.526
Si: 0.509 0.161 0.469
Si: 0.009 0.540 0.348
Si: 0.308 0.839 0.348
Si: 0.808 0.460 0.469
Si: 0.742 0.500 0.242
Si: 0.242 0.000 0.242
Si: 0.347 0.821 0.668
O: 0.128 0.397 0.340
O: 0.307 0.159 0.659
O: 0.807 0.148 0.149
O: 0.716 0.044 0.260
O: 0.443 0.712 0.340
O: 0.873 0.353 0.143
O: 0.119 0.138 0.340
O: 0.355 0.894 0.866
O: 0.972 0.106 0.461
O: 0.472 0.011 0.866
O: 0.790 0.647 0.520
O: 0.848 0.498 0.846
O: 0.202 0.862 0.981
O: 0.855 0.989 0.461
O: 0.290 0.770 0.143
O: 0.187 0.641 0.145
O: 0.628 0.288 0.731
O: 0.943 0.603 0.731
O: 0.687 0.542 0.546
O: 0.505 0.359 0.546
O: 0.619 0.279 0.981
O: 0.348 0.502 0.349
O: 0.216 0.956 0.672
O: 0.005 0.458 0.145
O: 0.501 0.841 0.149
O: 0.373 0.230 0.520
O: 0.001 0.852 0.659
O: 0.702 0.721 0.340

=====

Run two
This record from the Materials Project database describes crystalline Ca3Si2O7 at its relaxed geometry. The functional is PBE.

abc: 8.994 7.927 10.680
angles: 60.67 90.00 90.00
Element x y z (fractional)
Ca: 0.594 0.286 0.157
Ca: 0.094 0.714 0.343
Ca: 0.406 0.714 0.843
Ca: 0.906 0.286 0.657
Ca: 0.925 0.208 0.331
Ca: 0.425 0.792 0.169
Ca: 0.075 0.792 0.669
Ca: 0.575 0.208 0.831
Ca: 0.440 0.290 0.492
Ca: 0.940 0.710 0.008
Ca: 0.560 0.710 0.508
Ca: 0.060 0.290 0.992
Si: 0.284 0.985 0.411
Si: 0.784 0.015 0.089
Si: 0.716 0.015 0.589
Si: 0.216 0.985 0.911
Si: 0.267 0.433 0.204
Si: 0.767 0.567 0.296
Si: 0.733 0.567 0.796
Si: 0.233 0.433 0.704
O: 0.335 0.938 0.573
O: 0.835 0.062 0.927
O: 0.665 0.062 0.427
O: 0.165 0.938 0.073
O: 0.360 0.843 0.359
O: 0.860 0.157 0.141
O: 0.640 0.157 0.641
O: 0.140 0.843 0.859
O: 0.104 0.973 0.401
O: 0.604 0.027 0.099
O: 0.896 0.027 0.599
O: 0.396 0.973 0.901
O: 0.346 0.210 0.297
O: 0.846 0.790 0.203
O: 0.654 0.790 0.703
O: 0.154 0.210 0.797
O: 0.398 0.548 0.089
O: 0.898 0.452 0.411
O: 0.602 0.452 0.911
O: 0.102 0.548 0.589
O: 0.397 0.420 0.643
O: 0.897 0.580 0.857
O: 0.603 0.580 0.357
O: 0.103 0.420 0.143
O: 0.239 0.509 0.821
O: 0.739 0.491 0.679
O: 0.761 0.491 0.179
O: 0.261 0.509 0.321

=====

Calculated relative energies: run one 0; run two 6, given in meV/atom